[1]
TeAsSe2F6: optimized geometry, PBE.

a = 9.131 Å, b = 13.644 Å, c = 16.162 Å
α = 90.00°, β = 90.00°, γ = 90.00°
Sites, in units of the cell vectors:
1 As 0.777 0.272 0.209
2 As 0.265 0.039 0.505
3 As 0.235 0.961 0.005
4 As 0.735 0.539 0.995
5 As 0.277 0.228 0.791
6 As 0.723 0.728 0.709
7 As 0.765 0.461 0.495
8 As 0.223 0.772 0.291
9 F 0.835 0.237 0.310
10 F 0.880 0.382 0.218
11 F 0.643 0.565 0.143
12 F 0.435 0.288 0.835
13 F 0.909 0.548 0.491
14 F 0.881 0.667 0.756
15 F 0.677 0.162 0.202
16 F 0.856 0.251 0.944
17 F 0.323 0.662 0.298
18 F 0.065 0.712 0.335
19 F 0.144 0.751 0.556
20 F 0.565 0.788 0.665
21 F 0.731 0.472 0.386
22 F 0.177 0.338 0.798
23 F 0.857 0.435 0.643
24 F 0.713 0.308 0.112
25 F 0.409 0.952 0.509
26 F 0.356 0.249 0.056
27 F 0.409 0.232 0.493
28 F 0.120 0.882 0.282
29 F 0.665 0.763 0.810
30 F 0.591 0.452 0.991
31 F 0.143 0.935 0.857
32 F 0.091 0.048 0.009
33 F 0.335 0.263 0.690
34 F 0.878 0.457 0.021
35 F 0.591 0.732 0.007
36 F 0.381 0.833 0.244
37 F 0.787 0.692 0.612
38 F 0.619 0.333 0.256
39 F 0.769 0.528 0.886
40 F 0.823 0.838 0.702
41 F 0.378 0.043 0.979
42 F 0.644 0.749 0.444
43 F 0.380 0.118 0.782
44 F 0.165 0.737 0.190
45 F 0.119 0.167 0.744
46 F 0.231 0.028 0.614
47 F 0.269 0.972 0.114
48 F 0.909 0.268 0.507
49 F 0.122 0.957 0.479
50 F 0.935 0.212 0.165
51 F 0.622 0.543 0.521
52 F 0.213 0.192 0.888
53 F 0.620 0.618 0.718
54 F 0.091 0.768 0.993
55 F 0.357 0.065 0.357
56 F 0.287 0.808 0.388
57 Se 0.783 0.140 0.797
58 Se 0.135 0.416 0.317
59 Se 0.178 0.244 0.104
60 Se 0.322 0.756 0.604
61 Se 0.365 0.584 0.817
62 Se 0.678 0.256 0.896
63 Se 0.717 0.860 0.297
64 Se 0.822 0.744 0.396
65 Se 0.635 0.084 0.683
66 Se 0.217 0.640 0.703
67 Se 0.861 0.047 0.625
68 Se 0.639 0.953 0.125
69 Se 0.361 0.453 0.375
70 Se 0.865 0.916 0.183
71 Se 0.139 0.547 0.875
72 Se 0.283 0.360 0.203
73 Te 0.505 0.782 0.110
74 Te 0.815 0.322 0.726
75 Te 0.495 0.282 0.390
76 Te 0.995 0.218 0.610
77 Te 0.185 0.822 0.774
78 Te 0.685 0.678 0.226
79 Te 0.315 0.178 0.274
80 Te 0.005 0.718 0.890

Output
DFT formation energy (eV/atom): -1.72
Energy above the lowest structure with this stoichiometry (eV/f.u.): 0.823
Magnetic moment (μB per atom): 0.0000

***

[2]
Te2AsSe3F6: optimized geometry, PBE.

a = 11.014 Å, b = 13.781 Å, c = 15.255 Å
α = 90.00°, β = 90.00°, γ = 90.00°
Sites, in units of the cell vectors:
1 As 0.588 0.519 0.170
2 As 0.588 0.981 0.830
3 As 0.412 0.019 0.170
4 As 0.912 0.481 0.670
5 As 0.412 0.481 0.830
6 As 0.912 0.019 0.330
7 As 0.088 0.981 0.670
8 As 0.088 0.519 0.330
9 F 0.576 0.393 0.200
10 F 0.262 0.020 0.212
11 F 0.738 0.980 0.788
12 F 0.562 0.016 0.130
13 F 0.601 0.644 0.143
14 F 0.355 0.515 0.935
15 F 0.424 0.607 0.800
16 F 0.076 0.107 0.700
17 F 0.967 0.449 0.777
18 F 0.855 0.515 0.565
19 F 0.101 0.644 0.357
20 F 0.062 0.484 0.630
21 F 0.238 0.520 0.288
22 F 0.145 0.485 0.435
23 F 0.399 0.144 0.143
24 F 0.967 0.051 0.223
25 F 0.533 0.551 0.277
26 F 0.238 0.980 0.712
27 F 0.533 0.949 0.723
28 F 0.938 0.984 0.630
29 F 0.033 0.551 0.223
30 F 0.424 0.893 0.200
31 F 0.101 0.856 0.643
32 F 0.467 0.449 0.723
33 F 0.467 0.051 0.277
34 F 0.033 0.949 0.777
35 F 0.076 0.393 0.300
36 F 0.762 0.020 0.288
37 F 0.645 0.485 0.065
38 F 0.924 0.893 0.300
39 F 0.145 0.015 0.565
40 F 0.899 0.144 0.357
41 F 0.938 0.516 0.370
42 F 0.062 0.016 0.370
43 F 0.562 0.484 0.870
44 F 0.899 0.356 0.643
45 F 0.438 0.516 0.130
46 F 0.576 0.107 0.800
47 F 0.762 0.480 0.712
48 F 0.355 0.985 0.065
49 F 0.262 0.480 0.788
50 F 0.399 0.356 0.857
51 F 0.738 0.520 0.212
52 F 0.645 0.015 0.935
53 F 0.924 0.607 0.700
54 F 0.601 0.856 0.857
55 F 0.855 0.985 0.435
56 F 0.438 0.984 0.870
57 Se 0.886 0.187 0.842
58 Se 0.936 0.602 0.040
59 Se 0.064 0.102 0.040
60 Se 0.227 0.790 0.931
61 Se 0.227 0.710 0.069
62 Se 0.773 0.210 0.069
63 Se 0.886 0.313 0.158
64 Se 0.614 0.687 0.658
65 Se 0.114 0.813 0.158
66 Se 0.064 0.398 0.960
67 Se 0.436 0.898 0.540
68 Se 0.614 0.813 0.342
69 Se 0.936 0.898 0.960
70 Se 0.273 0.210 0.431
71 Se 0.114 0.687 0.842
72 Se 0.773 0.290 0.931
73 Se 0.436 0.602 0.460
74 Se 0.727 0.790 0.569
75 Se 0.273 0.290 0.569
76 Se 0.386 0.313 0.342
77 Se 0.727 0.710 0.431
78 Se 0.564 0.102 0.460
79 Se 0.564 0.398 0.540
80 Se 0.386 0.187 0.658
81 Te 0.229 0.363 0.067
82 Te 0.271 0.637 0.567
83 Te 0.600 0.228 0.332
84 Te 0.900 0.728 0.168
85 Te 0.229 0.137 0.933
86 Te 0.100 0.272 0.832
87 Te 0.900 0.772 0.832
88 Te 0.400 0.772 0.668
89 Te 0.600 0.272 0.668
90 Te 0.400 0.728 0.332
91 Te 0.729 0.363 0.433
92 Te 0.271 0.863 0.433
93 Te 0.771 0.637 0.933
94 Te 0.771 0.863 0.067
95 Te 0.100 0.228 0.168
96 Te 0.729 0.137 0.567

Output
DFT formation energy (eV/atom): -1.52
Magnetic moment (μB per atom): 0.0017

***

[3]
TeAsSe2F6: optimized geometry, PBE.

a = 8.804 Å, b = 15.332 Å, c = 24.199 Å
α = 90.00°, β = 90.00°, γ = 90.00°
Sites, in units of the cell vectors:
1 Se 0.855 0.109 0.674
2 Se 0.254 0.501 0.272
3 Se 0.724 0.617 0.981
4 Se 0.628 0.503 0.928
5 Se 0.370 0.681 0.349
6 Se 0.355 0.609 0.826
7 Se 0.276 0.117 0.019
8 Se 0.224 0.117 0.519
9 Se 0.372 0.003 0.072
10 Se 0.128 0.003 0.572
11 Se 0.645 0.109 0.174
12 Se 0.635 0.450 0.401
13 Se 0.682 0.380 0.041
14 Se 0.754 0.001 0.228
15 Se 0.842 0.233 0.789
16 Se 0.135 0.950 0.099
17 Se 0.872 0.503 0.428
18 Se 0.865 0.450 0.901
19 Se 0.630 0.181 0.651
20 Se 0.145 0.609 0.326
21 Se 0.818 0.380 0.541
22 Se 0.318 0.880 0.959
23 Se 0.658 0.233 0.289
24 Se 0.365 0.950 0.599
25 Se 0.746 0.001 0.728
26 Se 0.182 0.880 0.459
27 Se 0.870 0.181 0.151
28 Se 0.342 0.733 0.711
29 Se 0.776 0.617 0.481
30 Se 0.130 0.681 0.849
31 Se 0.246 0.501 0.772
32 Se 0.158 0.733 0.211
33 F 0.938 0.857 0.645
34 F 0.123 0.594 0.076
35 F 0.815 0.892 0.099
36 F 0.866 0.523 0.674
37 F 0.881 0.428 0.759
38 F 0.438 0.357 0.855
39 F 0.868 0.924 0.871
40 F 0.865 0.771 0.908
41 F 0.882 0.805 0.549
42 F 0.164 0.377 0.563
43 F 0.339 0.913 0.306
44 F 0.632 0.924 0.371
45 F 0.277 0.728 0.058
46 F 0.392 0.073 0.297
47 F 0.905 0.754 0.373
48 F 0.618 0.805 0.049
49 F 0.062 0.357 0.355
50 F 0.598 0.081 0.943
51 F 0.212 0.531 0.986
52 F 0.562 0.857 0.145
53 F 0.634 0.523 0.174
54 F 0.288 0.531 0.486
55 F 0.801 0.799 0.808
56 F 0.623 0.094 0.424
57 F 0.126 0.980 0.711
58 F 0.302 0.287 0.322
59 F 0.608 0.573 0.703
60 F 0.857 0.732 0.082
61 F 0.699 0.799 0.308
62 F 0.185 0.392 0.901
63 F 0.101 0.408 0.663
64 F 0.411 0.678 0.487
65 F 0.777 0.228 0.442
66 F 0.874 0.480 0.289
67 F 0.301 0.299 0.692
68 F 0.333 0.088 0.732
69 F 0.089 0.678 0.987
70 F 0.134 0.023 0.326
71 F 0.381 0.928 0.741
72 F 0.118 0.305 0.451
73 F 0.667 0.588 0.268
74 F 0.132 0.665 0.467
75 F 0.336 0.377 0.063
76 F 0.619 0.428 0.259
77 F 0.377 0.594 0.576
78 F 0.107 0.197 0.372
79 F 0.095 0.254 0.627
80 F 0.788 0.031 0.014
81 F 0.892 0.573 0.203
82 F 0.626 0.480 0.789
83 F 0.402 0.581 0.057
84 F 0.405 0.254 0.127
85 F 0.833 0.588 0.768
86 F 0.119 0.928 0.241
87 F 0.143 0.232 0.918
88 F 0.601 0.908 0.837
89 F 0.108 0.073 0.797
90 F 0.368 0.665 0.967
91 F 0.135 0.271 0.092
92 F 0.161 0.913 0.806
93 F 0.712 0.031 0.514
94 F 0.607 0.697 0.128
95 F 0.632 0.165 0.033
96 F 0.635 0.771 0.408
97 F 0.899 0.908 0.337
98 F 0.589 0.178 0.513
99 F 0.643 0.732 0.582
100 F 0.893 0.697 0.628
101 F 0.911 0.178 0.013
102 F 0.723 0.228 0.942
103 F 0.198 0.287 0.822
104 F 0.382 0.305 0.951
105 F 0.836 0.877 0.437
106 F 0.199 0.299 0.192
107 F 0.902 0.081 0.443
108 F 0.366 0.023 0.826
109 F 0.357 0.232 0.418
110 F 0.374 0.980 0.211
111 F 0.698 0.787 0.678
112 F 0.664 0.877 0.937
113 F 0.685 0.892 0.599
114 F 0.802 0.787 0.178
115 F 0.839 0.413 0.194
116 F 0.399 0.408 0.163
117 F 0.368 0.424 0.629
118 F 0.661 0.413 0.694
119 F 0.595 0.754 0.873
120 F 0.868 0.165 0.533
121 F 0.393 0.197 0.872
122 F 0.315 0.392 0.401
123 F 0.365 0.271 0.592
124 F 0.098 0.581 0.557
125 F 0.877 0.094 0.924
126 F 0.132 0.424 0.129
127 F 0.223 0.728 0.558
128 F 0.167 0.088 0.232
129 As 0.753 0.129 0.978
130 As 0.209 0.295 0.386
131 As 0.255 0.002 0.268
132 As 0.755 0.502 0.232
133 As 0.769 0.839 0.373
134 As 0.791 0.795 0.614
135 As 0.745 0.502 0.732
136 As 0.709 0.795 0.114
137 As 0.731 0.839 0.873
138 As 0.291 0.295 0.886
139 As 0.269 0.339 0.127
140 As 0.245 0.002 0.768
141 As 0.253 0.629 0.522
142 As 0.231 0.339 0.627
143 As 0.747 0.129 0.478
144 As 0.247 0.629 0.022
145 Te 0.944 0.385 0.996
146 Te 0.924 0.246 0.248
147 Te 0.076 0.746 0.752
148 Te 0.444 0.885 0.504
149 Te 0.821 0.100 0.312
150 Te 0.556 0.385 0.496
151 Te 0.181 0.023 0.937
152 Te 0.319 0.023 0.437
153 Te 0.179 0.600 0.688
154 Te 0.056 0.885 0.004
155 Te 0.679 0.100 0.812
156 Te 0.424 0.746 0.252
157 Te 0.681 0.523 0.563
158 Te 0.321 0.600 0.188
159 Te 0.576 0.246 0.748
160 Te 0.819 0.523 0.063

Output
DFT formation energy (eV/atom): -1.81
Energy above the lowest structure with this stoichiometry (eV/f.u.): 0.000
Magnetic moment (μB per atom): 0.0000

***

Which of these has the lowest DFT formation energy? number 3